The following is a GGA+U calculation of an optimized crystal structure of LiCoC2O6, from the Materials Project.

Cell lengths 6.4634, 9.1485, 10.0242 Å; angles 105.40, 107.02, 104.17 degrees
Space group P1 (No. 1)
Inequivalent atoms, fractional coordinates:
Li  0.0000  0.0000  0.0000 (multiplicity 1)
Li  0.0025  0.5049  0.4984 (multiplicity 1)
Li  0.6811  0.1711  0.6745 (multiplicity 1)
Li  0.6943  0.6744  0.1776 (multiplicity 1)
Co  0.1410  0.6134  0.9389 (multiplicity 1)
Co  0.1433  0.1171  0.4407 (multiplicity 1)
Co  0.5472  0.2131  0.0385 (multiplicity 1)
Co  0.5577  0.7234  0.5523 (multiplicity 1)
C  0.1528  0.3002  0.9160 (multiplicity 1)
C  0.1669  0.8044  0.4188 (multiplicity 1)
C  0.5301  0.4027  0.5094 (multiplicity 1)
C  0.5311  0.8936  0.0086 (multiplicity 1)
C  0.7050  0.4100  0.9407 (multiplicity 1)
C  0.7117  0.9073  0.4430 (multiplicity 1)
C  0.9840  0.2210  0.2513 (multiplicity 1)
C  0.9847  0.7199  0.7510 (multiplicity 1)
O  0.0223  0.2464  0.7812 (multiplicity 1)
O  0.0253  0.2976  0.3891 (multiplicity 1)
O  0.0254  0.7954  0.8891 (multiplicity 1)
O  0.0344  0.7493  0.2845 (multiplicity 1)
O  0.0664  0.1028  0.2263 (multiplicity 1)
O  0.0680  0.6029  0.7251 (multiplicity 1)
O  0.2166  0.4490  0.0070 (multiplicity 1)
O  0.2310  0.9552  0.5078 (multiplicity 1)
O  0.2357  0.2014  0.9771 (multiplicity 1)
O  0.2454  0.7056  0.4824 (multiplicity 1)
O  0.4519  0.2652  0.5338 (multiplicity 1)
O  0.4518  0.7550  0.0306 (multiplicity 1)
O  0.4654  0.5197  0.5704 (multiplicity 1)
O  0.4709  0.0121  0.0707 (multiplicity 1)
O  0.6202  0.2536  0.8643 (multiplicity 1)
O  0.6350  0.7560  0.3636 (multiplicity 1)
O  0.6539  0.4116  0.4352 (multiplicity 1)
O  0.6554  0.9026  0.9343 (multiplicity 1)
O  0.6615  0.9440  0.5625 (multiplicity 1)
O  0.6632  0.4545  0.0603 (multiplicity 1)
O  0.8179  0.5104  0.8971 (multiplicity 1)
O  0.8259  0.0212  0.4125 (multiplicity 1)
O  0.8723  0.2551  0.1425 (multiplicity 1)
O  0.8761  0.7564  0.6423 (multiplicity 1)

magnetic moment = 0.48 μB/f.u.
energy of formation from the pure elements = -1.71 eV/atom
excess energy over the best structure of this formula in the dataset = 60 meV per atom
calculated density = 2.41 g/cm3

The following is a GGA+U calculation of an optimized crystal structure of Zn3CuW4O16, from the Materials Project.

Cell lengths 6.7653, 5.8262, 7.0292 Å; angles 90.00, 93.26, 90.00 degrees
Space group P2 (No. 3)
Inequivalent atoms, fractional coordinates:
Zn  0.0000  0.0000  0.0000 (multiplicity 1)
Zn  0.2519  0.6537  0.7519 (multiplicity 2)
Cu  0.5000  0.9922  0.5000 (multiplicity 1)
W  0.0000  0.1553  0.5000 (multiplicity 1)
W  0.2524  0.5017  0.2493 (multiplicity 2)
W  0.5000  0.1526  0.0000 (multiplicity 1)
O  0.0422  0.7024  0.1990 (multiplicity 2)
O  0.0464  0.2207  0.2365 (multiplicity 2)
O  0.1985  0.4342  0.5163 (multiplicity 2)
O  0.2120  0.9582  0.5498 (multiplicity 2)
O  0.2937  0.9530  0.9457 (multiplicity 2)
O  0.2994  0.4354  0.9833 (multiplicity 2)
O  0.4515  0.2248  0.2610 (multiplicity 2)
O  0.4584  0.7038  0.3036 (multiplicity 2)

magnetic moment = 1.01 μB/f.u.
energy of formation from the pure elements = -1.96 eV/atom
calculated density = 7.51 g/cm3